#P
Here is crystalline Sr6MgTe8O22 at its relaxed geometry from the Materials Project database. Energies are from PBE.

Cell lengths 7.682, 9.608, 9.483 Å; angles 99.04, 106.25, 99.08 degrees
Positions (direct):
O 0.398 0.806 0.615
O 0.190 0.771 0.880
O 0.317 0.847 0.307
O 0.024 0.091 0.879
O 0.572 0.684 0.888
O 0.238 0.175 0.329
O 0.024 0.157 0.599
O 0.449 0.331 0.154
O 0.617 0.172 0.383
O 0.801 0.208 0.098
O 0.996 0.870 0.410
O 0.465 0.598 0.392
O 0.978 0.538 0.643
O 0.701 0.153 0.704
O 0.975 0.886 0.109
O 0.494 0.384 0.538
O 0.297 0.373 0.847
O 0.416 0.103 0.896
O 0.060 0.439 0.342
O 0.583 0.909 0.120
O 0.728 0.657 0.196
O 0.830 0.786 0.703
Sr 0.701 0.965 0.886
Sr 0.889 0.087 0.321
Sr 0.145 0.940 0.683
Sr 0.316 0.543 0.663
Sr 0.296 0.029 0.108
Sr 0.745 0.463 0.389
Mg 0.311 0.386 0.317
Te 0.501 0.307 0.965
Te 0.943 0.657 0.809
Te 0.011 0.755 0.238
Te 0.457 0.177 0.501
Te 0.507 0.706 0.065
Te 0.970 0.387 0.116
Te 0.967 0.237 0.770
Te 0.512 0.800 0.462

## Properties
- Space group: P1 (1)

***

#Q
Here is crystalline Sr6MgTe8O22 at its relaxed geometry from the Materials Project database. Energies are from PBE.

Cell lengths 7.643, 10.023, 9.474 Å; angles 99.28, 109.07, 97.48 degrees
Positions (direct):
O 0.491 0.369 0.517
O 0.056 0.139 0.001
O 0.795 0.193 0.132
O 0.563 0.681 0.866
O 0.501 0.627 0.451
O 0.160 0.162 0.313
O 0.974 0.844 0.094
O 0.013 0.135 0.654
O 0.983 0.589 0.628
O 0.667 0.193 0.701
O 0.355 0.359 0.803
O 0.993 0.859 0.403
O 0.442 0.860 0.635
O 0.417 0.117 0.889
O 0.541 0.117 0.374
O 0.589 0.890 0.118
O 0.024 0.404 0.371
O 0.730 0.638 0.177
O 0.315 0.829 0.308
O 0.210 0.786 0.893
O 0.858 0.831 0.730
O 0.456 0.346 0.100
Sr 0.289 0.998 0.121
Sr 0.163 0.927 0.677
Sr 0.698 0.461 0.369
Sr 0.726 0.970 0.908
Sr 0.314 0.532 0.613
Sr 0.840 0.060 0.346
Te 0.016 0.735 0.241
Te 0.564 0.305 0.947
Te 0.504 0.696 0.043
Te 0.538 0.819 0.477
Te 0.051 0.293 0.191
Te 0.889 0.295 0.671
Te 0.956 0.683 0.809
Te 0.420 0.182 0.510
Mg 0.191 0.230 0.890

## Properties
- Space group: P1 (1)

***

#R
Here is crystalline Sr6MgTe8O22 at its relaxed geometry from the Materials Project database. Energies are from PBE.

Cell lengths 7.613, 9.925, 9.335 Å; angles 93.75, 107.96, 98.62 degrees
Positions (direct):
O 0.573 0.156 0.365
O 0.024 0.109 0.889
O 0.515 0.673 0.452
O 0.444 0.100 0.900
O 0.560 0.896 0.121
O 0.939 0.894 0.117
O 0.275 0.332 0.782
O 0.412 0.829 0.649
O 0.881 0.799 0.712
O 0.686 0.153 0.694
O 0.993 0.840 0.421
O 0.991 0.129 0.581
O 0.170 0.187 0.290
O 0.821 0.259 0.155
O 0.537 0.381 0.540
O 0.431 0.322 0.103
O 0.543 0.673 0.902
O 0.212 0.787 0.926
O 0.085 0.453 0.372
O 0.278 0.835 0.280
O 0.922 0.567 0.579
O 0.721 0.656 0.233
Sr 0.171 0.949 0.701
Sr 0.705 0.409 0.340
Sr 0.701 0.932 0.878
Sr 0.287 0.036 0.113
Sr 0.349 0.550 0.619
Sr 0.843 0.052 0.310
Te 0.501 0.295 0.929
Te 0.457 0.707 0.067
Te 0.078 0.340 0.200
Te 0.973 0.237 0.747
Te 0.487 0.866 0.472
Te 0.982 0.638 0.796
Te 0.986 0.744 0.230
Te 0.467 0.188 0.523
Mg 0.792 0.717 0.480

## Properties
- Space group: P1 (1)

***

Which of them is the most stable? Correct choice: #P.

***

#P
Here is crystalline Sr6MgTe8O22 at its relaxed geometry from the Materials Project database. Energies are from PBE.

Cell lengths 7.635, 9.838, 10.057 Å; angles 101.33, 107.23, 101.74 degrees
Positions (direct):
Sr 0.848 0.086 0.332
Sr 0.312 0.538 0.630
Sr 0.760 0.960 0.885
Sr 0.662 0.438 0.390
Sr 0.103 0.883 0.637
Sr 0.301 0.043 0.271
O 0.340 0.352 0.850
O 0.519 0.731 0.877
O 0.267 0.796 0.285
O 0.154 0.242 0.306
O 0.104 0.085 0.866
O 0.626 0.198 0.438
O 0.616 0.487 0.638
O 0.985 0.557 0.629
O 0.627 0.686 0.158
O 0.945 0.860 0.384
O 0.479 0.252 0.108
O 0.205 0.829 0.889
O 0.393 0.559 0.382
O 0.768 0.072 0.674
O 0.809 0.775 0.696
O 0.842 0.225 0.061
O 0.352 0.780 0.582
O 0.939 0.910 0.127
O 0.085 0.151 0.592
O 0.494 0.108 0.849
O 0.946 0.448 0.319
O 0.508 0.952 0.123
Te 0.898 0.743 0.198
Te 0.859 0.613 0.758
Te 0.576 0.307 0.965
Te 0.461 0.764 0.436
Te 0.573 0.172 0.616
Te 0.057 0.228 0.768
Te 0.071 0.371 0.200
Te 0.392 0.748 0.011
Mg 0.347 0.039 0.970

## Properties
- Space group: P1 (1)

***

#Q
Here is crystalline Sr6MgTe8O22 at its relaxed geometry from the Materials Project database. Energies are from PBE.

Cell lengths 7.969, 10.048, 9.924 Å; angles 102.62, 113.40, 98.76 degrees
Positions (direct):
O 0.392 0.379 0.781
O 0.431 0.632 0.350
O 0.591 0.190 0.365
O 0.402 0.803 0.610
O 0.036 0.112 0.626
O 0.935 0.898 0.135
O 0.587 0.461 0.555
O 0.141 0.240 0.415
O 0.001 0.594 0.615
O 0.158 0.762 0.923
O 0.690 0.640 0.139
O 0.425 0.117 0.801
O 0.820 0.170 0.122
O 0.525 0.877 0.161
O 0.459 0.327 0.076
O 0.962 0.843 0.411
O 0.485 0.723 0.871
O 0.277 0.880 0.338
O 0.759 0.107 0.742
O 0.993 0.462 0.323
O 0.095 0.059 0.912
O 0.807 0.773 0.711
Mg 0.276 0.192 0.612
Te 0.017 0.194 0.812
Te 0.057 0.306 0.237
Te 0.441 0.687 0.033
Te 0.560 0.308 0.935
Te 0.974 0.752 0.229
Te 0.629 0.276 0.575
Te 0.493 0.822 0.464
Te 0.915 0.628 0.769
Sr 0.678 0.495 0.343
Sr 0.711 0.938 0.884
Sr 0.823 0.050 0.335
Sr 0.323 0.547 0.609
Sr 0.145 0.882 0.693
Sr 0.280 0.005 0.148

## Properties
- Space group: P1 (1)

***

#R
Here is crystalline Sr6MgTe8O22 at its relaxed geometry from the Materials Project database. Energies are from PBE.

Cell lengths 8.210, 9.442, 9.794 Å; angles 96.62, 112.17, 98.79 degrees
Positions (direct):
O 0.026 0.621 0.619
O 0.824 0.210 0.091
O 0.403 0.821 0.601
O 0.505 0.357 0.651
O 0.480 0.709 0.872
O 0.054 0.090 0.909
O 0.596 0.931 0.135
O 0.821 0.787 0.733
O 0.256 0.358 0.825
O 0.616 0.220 0.418
O 0.728 0.643 0.180
O 0.005 0.111 0.608
O 0.247 0.849 0.951
O 0.424 0.113 0.851
O 0.454 0.597 0.411
O 0.928 0.875 0.087
O 0.479 0.319 0.115
O 0.009 0.411 0.362
O 0.180 0.199 0.285
O 0.002 0.870 0.391
O 0.335 0.856 0.292
O 0.708 0.124 0.702
Te 0.868 0.587 0.724
Te 0.494 0.317 0.927
Te 0.969 0.738 0.220
Te 0.502 0.176 0.551
Te 0.511 0.803 0.460
Te 0.995 0.222 0.773
Te 0.053 0.338 0.193
Te 0.436 0.745 0.047
Sr 0.656 0.964 0.888
Sr 0.363 0.084 0.159
Sr 0.879 0.086 0.331
Sr 0.700 0.476 0.357
Sr 0.159 0.897 0.664
Sr 0.302 0.538 0.614
Mg 0.013 0.875 0.928

## Properties
- Space group: P1 (1)

***

#S
Here is crystalline Sr6MgTe8O22 at its relaxed geometry from the Materials Project database. Energies are from PBE.

Cell lengths 8.053, 9.410, 9.600 Å; angles 101.50, 107.32, 103.84 degrees
Positions (direct):
O 0.797 0.748 0.667
O 0.525 0.714 0.893
O 0.508 0.940 0.094
O 0.614 0.194 0.400
O 0.601 0.423 0.632
O 0.849 0.202 0.097
O 0.297 0.861 0.334
O 0.999 0.534 0.647
O 0.004 0.463 0.355
O 0.433 0.075 0.841
O 0.029 0.174 0.588
O 0.939 0.882 0.110
O 0.412 0.590 0.393
O 0.333 0.352 0.834
O 0.189 0.246 0.322
O 0.929 0.813 0.379
O 0.060 0.112 0.871
O 0.745 0.171 0.713
O 0.474 0.287 0.126
O 0.368 0.798 0.629
O 0.704 0.569 0.120
O 0.140 0.822 0.870
Sr 0.305 0.506 0.614
Sr 0.100 0.938 0.641
Sr 0.282 0.046 0.151
Sr 0.772 0.967 0.884
Sr 0.701 0.484 0.384
Sr 0.829 0.069 0.305
Te 0.474 0.804 0.472
Te 0.925 0.644 0.790
Te 0.502 0.723 0.096
Te 0.080 0.363 0.206
Te 0.050 0.276 0.786
Te 0.544 0.208 0.571
Te 0.537 0.291 0.954
Te 0.953 0.716 0.199
Mg 0.387 0.864 0.865

## Properties
- Space group: P1 (1)

***

Which of them is the most stable? Correct choice: #Q.